# Y3Ga2

Crystalline Y3Ga2 at its relaxed geometry (PBE, the Materials Project).

Computed properties:
- crystal system = tetragonal
- E (eV per atom) = -5.66
- magnetization (μB/cell) = 0.00

Cell lengths 11.1336, 11.1336, 11.1336 Å; angles 116.59, 116.59, 96.02 degrees
Closest atoms and distances in Å follow each position.
Sites, in units of the cell vectors:
Y 0.1477 0.6477 0.5000  4 Ga 2.92-3.05, 1 Y 3.05
Y 0.6477 0.1477 0.5000  4 Ga 2.92-3.05, 1 Y 3.05
Y 0.8523 0.3523 0.5000  4 Ga 2.92-3.05, 1 Y 3.05
Y 0.3523 0.8523 0.5000  4 Ga 2.92-3.05, 1 Y 3.05
Y 0.6686 0.1686 0.8372  2 Ga 2.99
Y 0.3314 0.8314 0.1628  2 Ga 2.99
Y 0.1686 0.3314 0.5000  2 Ga 2.99
Y 0.8314 0.6686 0.5000  2 Ga 2.99
Y 0.0671 0.9313 0.2709  6 Ga 2.98-3.33
Y 0.6604 0.7962 0.7291  6 Ga 2.98-3.33
Y 0.5671 0.2962 0.1359  6 Ga 2.98-3.33
Y 0.1604 0.4313 0.8641  6 Ga 2.98-3.33
Y 0.7962 0.0671 0.1359  6 Ga 2.98-3.33
Y 0.9313 0.6604 0.8641  6 Ga 2.98-3.33
Y 0.4313 0.5671 0.2709  6 Ga 2.98-3.33
Y 0.2962 0.1604 0.7291  6 Ga 2.98-3.33
Y 0.9329 0.0687 0.7291  6 Ga 2.98-3.33
Y 0.3396 0.2038 0.2709  6 Ga 2.98-3.33
Y 0.4329 0.7038 0.8641  6 Ga 2.98-3.33
Y 0.8396 0.5687 0.1359  6 Ga 2.98-3.33
Y 0.2038 0.9329 0.8641  6 Ga 2.98-3.33
Y 0.0687 0.3396 0.1359  6 Ga 2.98-3.33
Y 0.5687 0.4329 0.7291  6 Ga 2.98-3.33
Y 0.7038 0.8396 0.2709  6 Ga 2.98-3.33
Ga 0.7500 0.7500 0.0000  8 Y 3.03
Ga 0.2500 0.2500 0.0000  8 Y 3.03
Ga 0.0000 0.0000 0.0000  8 Y 3.23
Ga 0.5000 0.5000 0.0000  8 Y 3.23
Ga 0.1162 0.6162 0.7324  6 Y 2.92-2.98
Ga 0.8838 0.3838 0.2676  6 Y 2.92-2.98
Ga 0.6162 0.8838 0.5000  6 Y 2.92-2.98
Ga 0.3838 0.1162 0.5000  6 Y 2.92-2.98
Ga 0.8786 0.3786 0.8561  1 Ga 2.80, 4 Y 2.99-3.08
Ga 0.5225 0.0225 0.1439  1 Ga 2.80, 4 Y 2.99-3.08
Ga 0.3786 0.5225 0.5000  1 Ga 2.80, 4 Y 2.99-3.08
Ga 0.0225 0.8786 0.5000  1 Ga 2.80, 4 Y 2.99-3.08
Ga 0.1214 0.6214 0.1439  1 Ga 2.80, 4 Y 2.99-3.08
Ga 0.4775 0.9775 0.8561  1 Ga 2.80, 4 Y 2.99-3.08
Ga 0.6214 0.4775 0.5000  1 Ga 2.80, 4 Y 2.99-3.08
Ga 0.9775 0.1214 0.5000  1 Ga 2.80, 4 Y 2.99-3.08